# 1
The following is a r2SCAN calculation of K3YCl6 after structural relaxation, from the Materials Project database. Values from VASP.

```
&SYSTEM
  ibrav = 0, nat = 40, ntyp = 3
/
ATOMIC_SPECIES
Y 88.91 Y.upf
Cl 35.45 Cl.upf
K 39.10 K.upf
CELL_PARAMETERS angstrom
-5.001 5.735 -1.426
-9.545 -7.805 2.087
-3.143 0.407 12.656
ATOMIC_POSITIONS crystal
Y 0.500 0.500 0.000
Cl 0.168 0.840 0.147
Y 0.000 0.000 0.000
K 0.572 0.389 0.321
Cl 0.332 0.340 0.147
K 0.928 0.889 0.321
K 0.428 0.611 0.679
Cl 0.293 0.090 0.899
Cl 0.832 0.160 0.853
Cl 0.504 0.366 0.884
Cl 0.140 0.695 0.500
Cl 0.286 0.997 0.345
Cl 0.207 0.590 0.899
K 0.437 0.735 0.314
Cl 0.360 0.195 0.500
Cl 0.714 0.003 0.655
Cl 0.707 0.910 0.101
Cl 0.214 0.497 0.345
K 0.937 0.765 0.686
Cl 0.714 0.109 0.343
K 0.964 0.642 0.100
Cl 0.786 0.503 0.655
K 0.072 0.111 0.679
Y 0.500 0.000 0.500
Cl 0.786 0.609 0.343
K 0.036 0.358 0.900
K 0.536 0.142 0.100
Cl 0.996 0.866 0.884
K 0.063 0.235 0.314
Cl 0.286 0.891 0.657
Cl 0.793 0.410 0.101
Cl 0.668 0.660 0.853
K 0.464 0.858 0.900
Cl 0.496 0.634 0.116
Y 0.000 0.500 0.500
Cl 0.214 0.391 0.657
Cl 0.640 0.805 0.500
Cl 0.860 0.305 0.500
Cl 0.004 0.134 0.116
K 0.563 0.265 0.686
```

Values from the calculation:
The energy relative to the elements is -2.3660 eV/atom. Its space-group type is P2_1/c. The crystal system is monoclinic.

# 2
The following is a r2SCAN calculation of K2Zr7Cl18 after structural relaxation, from the Materials Project database. Values from VASP.

```
&SYSTEM
  ibrav = 0, nat = 27, ntyp = 3
/
ATOMIC_SPECIES
Zr 91.22 Zr.upf
Cl 35.45 Cl.upf
K 39.10 K.upf
CELL_PARAMETERS angstrom
-8.343 5.686 2.022
-7.125 2.523 -6.943
-9.627 -3.559 -0.037
ATOMIC_POSITIONS crystal
Zr 0.789 0.907 0.159
Cl 0.933 0.058 0.349
Cl 0.522 0.784 0.360
Cl 0.360 0.520 0.784
Cl 0.135 0.283 0.574
Cl 0.350 0.933 0.059
Cl 0.216 0.638 0.481
Zr 0.834 0.212 0.098
Cl 0.570 0.136 0.286
Cl 0.782 0.361 0.522
K 0.778 0.776 0.776
Cl 0.646 0.071 0.942
Zr 0.501 0.501 0.499
K 0.224 0.223 0.225
Cl 0.869 0.712 0.425
Cl 0.284 0.570 0.137
Cl 0.072 0.944 0.648
Cl 0.944 0.648 0.072
Cl 0.479 0.216 0.639
Zr 0.102 0.834 0.213
Zr 0.213 0.098 0.837
Cl 0.058 0.348 0.933
Cl 0.637 0.480 0.216
Cl 0.711 0.430 0.866
Zr 0.897 0.164 0.792
Zr 0.166 0.786 0.900
Cl 0.427 0.868 0.710
```

Values from the calculation:
The energy relative to the elements is -1.9474 eV/atom. Its space-group type is P1. The crystal system is triclinic.

# 3
The following is a r2SCAN calculation of La2NCl3 after structural relaxation, from the Materials Project database. Values from VASP.

```
&SYSTEM
  ibrav = 0, nat = 12, ntyp = 3
/
ATOMIC_SPECIES
La 138.91 La.upf
Cl 35.45 Cl.upf
N 14.01 N.upf
CELL_PARAMETERS angstrom
0.000 0.000 -6.166
0.000 -6.943 0.000
-6.909 3.472 3.083
ATOMIC_POSITIONS crystal
La 0.094 0.271 0.187
La 0.406 0.083 0.813
Cl 0.302 0.616 0.605
Cl 0.198 0.011 0.395
Cl 0.698 0.384 0.395
N 0.250 0.000 0.000
Cl 0.250 0.500 0.000
La 0.906 0.729 0.813
N 0.750 0.000 0.000
La 0.594 0.917 0.187
Cl 0.750 0.500 0.000
Cl 0.802 0.989 0.605
```

Values from the calculation:
The energy relative to the elements is -2.5098 eV/atom. Its space-group type is Ibam. The crystal system is orthorhombic.

# 4
The following is a r2SCAN calculation of La4S3NCl3 after structural relaxation, from the Materials Project database. Values from VASP.

```
&SYSTEM
  ibrav = 0, nat = 22, ntyp = 4
/
ATOMIC_SPECIES
La 138.91 La.upf
N 14.01 N.upf
S 32.06 S.upf
Cl 35.45 Cl.upf
CELL_PARAMETERS angstrom
4.728 -8.190 0.000
4.728 8.190 0.000
0.000 0.000 7.021
ATOMIC_POSITIONS crystal
La 0.201 0.402 0.251
N 0.333 0.667 0.365
La 0.799 0.598 0.751
S 0.531 0.469 0.471
S 0.063 0.531 0.971
S 0.531 0.063 0.471
La 0.799 0.201 0.751
La 0.402 0.201 0.751
S 0.469 0.531 0.971
Cl 0.737 0.868 0.643
Cl 0.132 0.868 0.643
La 0.598 0.799 0.251
N 0.667 0.333 0.865
Cl 0.868 0.737 0.143
La 0.333 0.667 0.710
La 0.201 0.799 0.251
Cl 0.868 0.132 0.143
S 0.937 0.469 0.471
Cl 0.132 0.263 0.643
Cl 0.263 0.132 0.143
S 0.469 0.937 0.971
La 0.667 0.333 0.210
```

Values from the calculation:
The energy relative to the elements is -2.5324 eV/atom. Its space-group type is P6_3mc. The crystal system is hexagonal.

# 5
The following is a r2SCAN calculation of La3WCl3O6 after structural relaxation, from the Materials Project database. Values from VASP.

```
&SYSTEM
  ibrav = 0, nat = 26, ntyp = 4
/
ATOMIC_SPECIES
La 138.91 La.upf
O 16.00 O.upf
Cl 35.45 Cl.upf
W 183.84 W.upf
CELL_PARAMETERS angstrom
4.717 -8.170 0.000
4.717 8.170 0.000
0.000 0.000 5.444
ATOMIC_POSITIONS crystal
La 0.090 0.685 0.750
O 0.527 0.364 0.978
O 0.837 0.473 0.978
O 0.163 0.527 0.022
O 0.527 0.364 0.522
Cl 0.241 0.048 0.750
La 0.685 0.595 0.250
O 0.364 0.837 0.022
W 0.667 0.333 0.750
O 0.473 0.636 0.022
O 0.636 0.163 0.978
La 0.910 0.315 0.250
O 0.636 0.163 0.522
O 0.364 0.837 0.478
Cl 0.193 0.241 0.250
Cl 0.807 0.759 0.750
O 0.473 0.636 0.478
La 0.595 0.910 0.750
Cl 0.759 0.952 0.250
La 0.315 0.405 0.750
O 0.837 0.473 0.522
O 0.163 0.527 0.478
La 0.405 0.090 0.250
Cl 0.952 0.193 0.750
W 0.333 0.667 0.250
Cl 0.048 0.807 0.250
```

Values from the calculation:
The energy relative to the elements is -3.1980 eV/atom. Its space-group type is P6_3/m. The crystal system is hexagonal.

# 6
The following is a r2SCAN calculation of La5Pb3Cl after structural relaxation, from the Materials Project database. Values from VASP.

```
&SYSTEM
  ibrav = 0, nat = 18, ntyp = 3
/
ATOMIC_SPECIES
La 138.91 La.upf
Pb 207.20 Pb.upf
Cl 35.45 Cl.upf
CELL_PARAMETERS angstrom
4.859 -8.416 0.000
4.859 8.416 0.000
0.000 0.000 7.026
ATOMIC_POSITIONS crystal
La 0.667 0.333 0.000
Pb 0.613 0.000 0.250
Pb 0.387 0.387 0.250
La 0.262 0.262 0.750
La 0.000 0.262 0.250
Pb 0.387 0.000 0.750
La 0.333 0.667 0.000
La 0.738 0.000 0.750
La 0.667 0.333 0.500
La 0.262 0.000 0.250
Pb 0.000 0.387 0.750
La 0.738 0.738 0.250
Cl 0.000 0.000 0.000
Pb 0.613 0.613 0.750
Pb 0.000 0.613 0.250
Cl 0.000 0.000 0.500
La 0.000 0.738 0.750
La 0.333 0.667 0.500
```

Values from the calculation:
The energy relative to the elements is -1.1416 eV/atom. Its space-group type is P6_3/mcm. The crystal system is hexagonal.

no.,E_tot (Ry/atom),calculated volume (Å³/cell)
1,-0.727,1194
2,-0.911,686
3,-1.251,296
4,-1.326,544
5,-1.337,420
6,-2.728,575